# Mn5CuN4 GGA-PBE optimized geometry
# ΔE_f: -156 kJ/mol of formula units
# Energy with MP2020 corrections: -8.488 eV/atom
# VASP energy: -8.343 eV per atom
data_Mn5CuN4
_space_group_name_H-M_alt 'P m m n'
_space_group_IT_number 59
_cell_length_a 5.644
_cell_length_b 7.835
_cell_length_c 4.653
_cell_angle_alpha 90.00
_cell_angle_beta 90.00
_cell_angle_gamma 90.00
loop_
_space_group_symop_operation_xyz
'x,y,z'
'-x,-y,-z'
'-x+1/2,-y+1/2,z'
'x+1/2,y+1/2,-z'
'x+1/2,-y,-z'
'-x+1/2,y,z'
'-x,y+1/2,-z'
'x,-y+1/2,z'
loop_
_atom_site_label
_atom_site_type_symbol
_atom_site_fract_x
_atom_site_fract_y
_atom_site_fract_z
Mn1 Mn 0.014 0.064 0.249
Mn2 Mn 0.250 0.750 0.253
Cu1 Cu 0.250 0.250 0.793
N1 N 0.001 0.750 0.516
N2 N 0.250 0.550 0.012